First-principles (PBE) data for MgSi2Ag8O8 after structural relaxation, as listed in the Materials Project.

Formation energy from the elements   -1.335 eV/atom
Mass density   6.52 g cm⁻³

Cell: 6.553 6.214 6.729 Å, 90.00 95.02 90.00°
Space group P2 (No. 3)
One atom of each set of equivalent atoms:
Mg: 0.000 0.000 0.000 (multiplicity 1)
Si: 0.000 0.830 0.500 (multiplicity 1)
Si: 0.500 0.154 0.000 (multiplicity 1)
Ag: 0.154 0.407 0.253 (multiplicity 2)
Ag: 0.209 0.580 0.892 (multiplicity 2)
Ag: 0.296 0.146 0.571 (multiplicity 2)
Ag: 0.428 0.778 0.282 (multiplicity 2)
O: 0.052 0.995 0.314 (multiplicity 2)
O: 0.207 0.678 0.553 (multiplicity 2)
O: 0.300 0.992 0.988 (multiplicity 2)
O: 0.492 0.316 0.801 (multiplicity 2)

***

First-principles (PBE) data for MgSi2Ag8O8 after structural relaxation, as listed in the Materials Project.

Formation energy from the elements   -1.294 eV/atom
Mass density   5.86 g cm⁻³

Cell: 7.712 7.712 5.107 Å, 90.00 90.00 90.00°
Space group P-4 (No. 81)
One atom of each set of equivalent atoms:
Mg: 0.000 0.000 0.000 (multiplicity 1)
Si: 0.000 0.000 0.500 (multiplicity 1)
Si: 0.500 0.500 0.000 (multiplicity 1)
Ag: 0.124 0.634 0.916 (multiplicity 4)
Ag: 0.184 0.407 0.488 (multiplicity 4)
O: 0.051 0.158 0.705 (multiplicity 4)
O: 0.338 0.567 0.190 (multiplicity 4)

***

First-principles (PBE) data for Mg3Si4Ag2O14 after structural relaxation, as listed in the Materials Project.

Formation energy from the elements   -2.532 eV/atom
Mass density   3.60 g cm⁻³

Cell: 17.704 7.736 10.288 Å, 90.00 125.17 90.00°
Space group C2/c (No. 15)
One atom of each set of equivalent atoms:
Mg: 0.000 0.111 0.250 (multiplicity 4)
Mg: 0.169 0.387 0.376 (multiplicity 8)
Si: 0.118 0.107 0.110 (multiplicity 8)
Si: 0.192 0.260 0.706 (multiplicity 8)
Ag: 0.000 0.277 0.750 (multiplicity 4)
Ag: 0.000 0.500 0.000 (multiplicity 4)
O: 0.047 0.072 0.918 (multiplicity 8)
O: 0.070 0.468 0.904 (multiplicity 8)
O: 0.078 0.225 0.192 (multiplicity 8)
O: 0.130 0.421 0.706 (multiplicity 8)
O: 0.151 0.073 0.716 (multiplicity 8)
O: 0.205 0.245 0.564 (multiplicity 8)
O: 0.206 0.204 0.127 (multiplicity 8)

***

First-principles (PBE) data for MgAg2Sn2O6 after structural relaxation, as listed in the Materials Project.

Formation energy from the elements   -1.492 eV/atom
Mass density   6.53 g cm⁻³

Cell: 3.162 7.014 7.045 Å, 69.01 89.80 89.80°
Space group P1 (No. 1)
One atom of each set of equivalent atoms:
Mg: 0.000 0.000 0.000 (multiplicity 1)
Ag: 0.500 0.280 0.718 (multiplicity 1)
Ag: 0.500 0.682 0.317 (multiplicity 1)
Sn: 0.000 0.199 0.305 (multiplicity 1)
Sn: 0.000 0.693 0.800 (multiplicity 1)
O: 0.001 0.376 0.983 (multiplicity 1)
O: 0.498 0.354 0.362 (multiplicity 1)
O: 0.498 0.798 0.962 (multiplicity 1)
O: 0.502 0.037 0.202 (multiplicity 1)
O: 0.502 0.635 0.646 (multiplicity 1)
O: 0.999 0.017 0.622 (multiplicity 1)

***

First-principles (PBE) data for Sr2MgAg2O4 after structural relaxation, as listed in the Materials Project.

Formation energy from the elements   -2.008 eV/atom
Mass density   4.76 g cm⁻³

Cell: 5.948 6.016 6.034 Å, 88.80 63.12 63.19°
Space group P1 (No. 1)
One atom of each set of equivalent atoms:
Sr: 0.000 0.000 0.000 (multiplicity 1)
Sr: 0.499 0.643 0.359 (multiplicity 1)
Mg: 0.998 0.377 0.625 (multiplicity 1)
Ag: 0.305 0.354 0.080 (multiplicity 1)
Ag: 0.694 0.924 0.646 (multiplicity 1)
O: 0.045 0.680 0.695 (multiplicity 1)
O: 0.330 0.056 0.603 (multiplicity 1)
O: 0.668 0.398 0.947 (multiplicity 1)
O: 0.952 0.305 0.322 (multiplicity 1)

***

First-principles (PBE) data for Sr2MgAg2O4 after structural relaxation, as listed in the Materials Project.

Formation energy from the elements   -1.525 eV/atom
Mass density   4.23 g cm⁻³

Cell: 8.698 8.766 9.868 Å, 90.00 90.00 90.00°
Space group Fmmm (No. 69)
One atom of each set of equivalent atoms:
Sr: 0.000 0.000 0.153 (multiplicity 8)
Mg: 0.000 0.000 0.500 (multiplicity 4)
Ag: 0.250 0.250 0.000 (multiplicity 8)
O: 0.000 0.233 0.500 (multiplicity 8)
O: 0.237 0.000 0.000 (multiplicity 8)

***

First-principles (PBE) data for MgZn2Ag4O8 after structural relaxation, as listed in the Materials Project.

Formation energy from the elements   -0.983 eV/atom
Mass density   5.50 g cm⁻³

Cell: 3.134 8.369 8.571 Å, 102.42 98.00 95.24°
Space group P-1 (No. 2)
One atom of each set of equivalent atoms:
Mg: 0.000 0.000 0.000 (multiplicity 1)
Zn: 0.262 0.705 0.297 (multiplicity 2)
Ag: 0.147 0.948 0.668 (multiplicity 2)
Ag: 0.401 0.671 0.956 (multiplicity 2)
O: 0.014 0.218 0.192 (multiplicity 2)
O: 0.164 0.170 0.571 (multiplicity 2)
O: 0.311 0.417 0.835 (multiplicity 2)
O: 0.494 0.095 0.886 (multiplicity 2)

***

First-principles (PBE) data for MgZn2Ag4O8 after structural relaxation, as listed in the Materials Project.

Formation energy from the elements   -0.908 eV/atom
Mass density   6.18 g cm⁻³

Cell: 6.247 6.267 6.490 Å, 64.53 64.83 60.33°
Space group P1 (No. 1)
One atom of each set of equivalent atoms:
Mg: 0.000 0.000 0.000 (multiplicity 1)
Zn: 0.137 0.134 0.540 (multiplicity 1)
Zn: 0.495 0.495 0.999 (multiplicity 1)
Ag: 0.497 0.497 0.498 (multiplicity 1)
Ag: 0.500 0.998 0.001 (multiplicity 1)
Ag: 0.873 0.873 0.473 (multiplicity 1)
Ag: 0.998 0.500 0.002 (multiplicity 1)
O: 0.213 0.210 0.758 (multiplicity 1)
O: 0.223 0.733 0.781 (multiplicity 1)
O: 0.271 0.270 0.200 (multiplicity 1)
O: 0.280 0.774 0.206 (multiplicity 1)
O: 0.716 0.716 0.828 (multiplicity 1)
O: 0.733 0.223 0.780 (multiplicity 1)
O: 0.776 0.279 0.205 (multiplicity 1)
O: 0.784 0.788 0.231 (multiplicity 1)

***

First-principles (PBE) data for MgZn2Ag4O8 after structural relaxation, as listed in the Materials Project.

Formation energy from the elements   -0.616 eV/atom
Mass density   5.67 g cm⁻³

Cell: 10.625 3.464 11.369 Å, 90.00 90.00 90.00°
Space group Amm2 (No. 38)
One atom of each set of equivalent atoms:
Mg: 0.000 0.000 0.000 (multiplicity 2)
Zn: 0.000 0.000 0.753 (multiplicity 2)
Zn: 0.500 0.000 0.667 (multiplicity 2)
Ag: 0.231 0.000 0.277 (multiplicity 4)
Ag: 0.312 0.000 0.012 (multiplicity 4)
O: 0.000 0.000 0.168 (multiplicity 2)
O: 0.139 0.000 0.888 (multiplicity 4)
O: 0.309 0.000 0.684 (multiplicity 4)
O: 0.439 0.000 0.391 (multiplicity 4)
O: 0.500 0.000 0.084 (multiplicity 2)

***

First-principles (PBE) data for MgZn2Ag4O8 after structural relaxation, as listed in the Materials Project.

Formation energy from the elements   -1.019 eV/atom
Mass density   6.16 g cm⁻³

Cell: 3.290 6.562 9.271 Å, 78.77 86.72 78.90°
Space group P-1 (No. 2)
One atom of each set of equivalent atoms:
Mg: 0.000 0.000 0.000 (multiplicity 1)
Zn: 0.410 0.127 0.245 (multiplicity 2)
Ag: 0.222 0.739 0.481 (multiplicity 2)
Ag: 0.261 0.415 0.863 (multiplicity 2)
O: 0.031 0.293 0.081 (multiplicity 2)
O: 0.090 0.941 0.636 (multiplicity 2)
O: 0.477 0.503 0.349 (multiplicity 2)
O: 0.487 0.107 0.867 (multiplicity 2)

***

First-principles (PBE) data for MgAg2P2S6 after structural relaxation, as listed in the Materials Project.

Formation energy from the elements   -0.718 eV/atom
Mass density   3.43 g cm⁻³

Cell: 6.405 11.019 13.705 Å, 90.00 98.32 90.00°
Space group C2/c (No. 15)
One atom of each set of equivalent atoms:
Mg: 0.000 0.077 0.250 (multiplicity 4)
Ag: 0.054 0.411 0.400 (multiplicity 8)
P: 0.031 0.254 0.834 (multiplicity 8)
S: 0.064 0.088 0.621 (multiplicity 8)
S: 0.148 0.392 0.620 (multiplicity 8)
S: 0.153 0.217 0.125 (multiplicity 8)

***

First-principles (PBE) data for Mg2AgPd after structural relaxation, as listed in the Materials Project.

Formation energy from the elements   -0.490 eV/atom
Mass density   6.31 g cm⁻³

Cell: 6.516 6.516 6.516 Å, 90.00 90.00 90.00°
Space group Fm-3m (No. 225)
One atom of each set of equivalent atoms:
Mg: 0.250 0.250 0.250 (multiplicity 8)
Ag: 0.000 0.000 0.000 (multiplicity 4)
Pd: 0.000 0.000 0.500 (multiplicity 4)

***

First-principles (PBE) data for Mg2AgPd after structural relaxation, as listed in the Materials Project.

Formation energy from the elements   -0.498 eV/atom
Mass density   6.25 g cm⁻³

Cell: 3.269 3.269 6.536 Å, 90.00 90.00 90.00°
Space group P4/mmm (No. 123)
One atom of each set of equivalent atoms:
Mg: 0.000 0.000 0.237 (multiplicity 2)
Ag: 0.500 0.500 0.500 (multiplicity 1)
Pd: 0.500 0.500 0.000 (multiplicity 1)

***

First-principles (PBE) data for PrMgAg after structural relaxation, as listed in the Materials Project.

Formation energy from the elements   -0.258 eV/atom
Mass density   5.89 g cm⁻³

Cell: 7.8432 7.8432 4.3335 Å, 90.00 90.00 120.00°
Space group P-62m (No. 189)
One atom of each set of equivalent atoms:
Pr: 0.0000 0.5856 0.0000 (multiplicity 3)
Mg: 0.0000 0.2415 0.5000 (multiplicity 3)
Ag: 0.0000 0.0000 0.0000 (multiplicity 1)
Ag: 0.3333 0.6667 0.5000 (multiplicity 2)

***

First-principles (PBE) data for PrMgAg2 after structural relaxation, as listed in the Materials Project.

Formation energy from the elements   -0.291 eV/atom
Mass density   6.76 g cm⁻³

Cell: 7.206 7.206 7.206 Å, 90.00 90.00 90.00°
Space group Fm-3m (No. 225)
One atom of each set of equivalent atoms:
Pr: 0.000 0.000 0.000 (multiplicity 4)
Mg: 0.000 0.000 0.500 (multiplicity 4)
Ag: 0.250 0.250 0.250 (multiplicity 8)

***

First-principles (PBE) data for Rb4MgV2Ag2S8 after structural relaxation, as listed in the Materials Project.

Formation energy from the elements   -1.148 eV/atom
Mass density   3.10 g cm⁻³

Cell: 5.762 7.452 12.948 Å, 104.69 91.62 109.51°
Space group P-1 (No. 2)
One atom of each set of equivalent atoms:
Rb: 0.042 0.219 0.413 (multiplicity 2)
Rb: 0.381 0.042 0.150 (multiplicity 2)
Mg: 0.000 0.500 0.000 (multiplicity 1)
V: 0.077 0.416 0.744 (multiplicity 2)
Ag: 0.421 0.581 0.228 (multiplicity 2)
S: 0.004 0.678 0.862 (multiplicity 2)
S: 0.210 0.296 0.871 (multiplicity 2)
S: 0.251 0.823 0.354 (multiplicity 2)
S: 0.354 0.549 0.647 (multiplicity 2)

***

First-principles (PBE) data for Rb4MgV2Ag2S8 after structural relaxation, as listed in the Materials Project.

Formation energy from the elements   -1.124 eV/atom
Mass density   3.07 g cm⁻³

Cell: 5.874 7.109 13.468 Å, 86.91 82.54 65.63°
Space group P1 (No. 1)
One atom of each set of equivalent atoms:
Rb: 0.000 0.000 0.000 (multiplicity 1)
Rb: 0.013 0.470 0.166 (multiplicity 1)
Rb: 0.408 0.470 0.440 (multiplicity 1)
Rb: 0.891 0.000 0.606 (multiplicity 1)
Mg: 0.469 0.952 0.803 (multiplicity 1)
V: 0.205 0.482 0.803 (multiplicity 1)
V: 0.954 0.983 0.303 (multiplicity 1)
Ag: 0.461 0.969 0.303 (multiplicity 1)
Ag: 0.751 0.390 0.803 (multiplicity 1)
S: 0.036 0.188 0.396 (multiplicity 1)
S: 0.192 0.242 0.698 (multiplicity 1)
S: 0.285 0.782 0.204 (multiplicity 1)
S: 0.381 0.683 0.717 (multiplicity 1)
S: 0.458 0.242 0.908 (multiplicity 1)
S: 0.668 0.188 0.210 (multiplicity 1)
S: 0.825 0.782 0.402 (multiplicity 1)
S: 0.828 0.683 0.888 (multiplicity 1)

***

First-principles (PBE) data for Rb4MgV2Ag2S8 after structural relaxation, as listed in the Materials Project.

Formation energy from the elements   -1.154 eV/atom
Mass density   3.24 g cm⁻³

Cell: 6.132 7.409 11.958 Å, 83.96 75.54 66.46°
Space group P1 (No. 1)
One atom of each set of equivalent atoms:
Rb: 0.000 0.000 0.000 (multiplicity 1)
Rb: 0.053 0.548 0.746 (multiplicity 1)
Rb: 0.358 0.045 0.258 (multiplicity 1)
Rb: 0.716 0.509 0.467 (multiplicity 1)
Mg: 0.541 0.035 0.857 (multiplicity 1)
V: 0.171 0.034 0.623 (multiplicity 1)
V: 0.907 0.523 0.102 (multiplicity 1)
Ag: 0.416 0.516 0.093 (multiplicity 1)
Ag: 0.687 0.020 0.571 (multiplicity 1)
S: 0.132 0.841 0.507 (multiplicity 1)
S: 0.261 0.328 0.980 (multiplicity 1)
S: 0.304 0.246 0.514 (multiplicity 1)
S: 0.435 0.850 0.733 (multiplicity 1)
S: 0.646 0.752 0.000 (multiplicity 1)
S: 0.742 0.328 0.207 (multiplicity 1)
S: 0.811 0.193 0.746 (multiplicity 1)
S: 0.984 0.687 0.219 (multiplicity 1)

***

Ordered V results: 273.0; 303.7; 287.9; 145.9; 167.3; 188.1; 215.7; 191.9; 209.2; 192.6; 239.3; 69.2; 69.8; 77.0; 93.5; 503.0; 508.0; 482.2; unit Å³/f.u..